Entry 1:
## YC3O8 (PBE)

Data for a geometry-optimized YC3O8 structure.

**V**: 17.2 A^3/atom
**Space-group type**: No. 19
**Magnetic moment**: 4.00 μB per cell
**Calculated formation energy**: -1.9529 eV/atom
**Energy above the lowest structure with this stoichiometry**: 1.81 eV/f.u.

POSCAR file:
```
YC3O8
1.0
-1.1166 6.8243 -2.2961
-8.7363 -1.8113 -1.1348
-2.2901 3.6156 11.8597
Y C O
4 12 32
Cartesian
-6.6685 7.1451 7.2177
-10.2706 2.5343 6.6667
-6.2483 5.2358 1.1788
-1.0986 2.3420 1.7944
-3.7614 6.0170 -1.8534
-8.0666 0.6317 4.2445
-8.0366 4.5976 4.4559
-4.4215 6.0110 10.0105
-8.0470 5.2175 -2.5837
-3.6236 1.4639 4.9953
-3.7009 5.3181 4.9269
-8.9145 5.2579 9.5190
-4.0465 9.1048 6.5251
-7.3479 1.7243 8.0795
-8.6648 2.9517 0.8070
-4.2269 3.4765 1.4459
-6.4538 8.7533 9.3377
-8.9313 1.2484 4.7485
-7.3408 5.0135 3.6045
-1.5602 2.2421 -0.8332
-2.0597 0.0494 0.9989
-8.1927 6.9260 1.5969
-8.8623 4.1208 5.1461
-5.1714 6.1611 9.1156
-9.5069 8.2203 8.7272
-3.2614 2.3239 5.6989
-4.2250 5.4475 3.8904
-7.2927 1.2655 -1.4590
-7.8268 -1.0191 0.2034
-5.1851 7.4224 2.0340
-3.0926 5.1853 5.9281
-8.1815 5.6687 8.6921
-4.7536 8.0636 6.7824
-8.3194 2.4174 7.6041
-7.9838 4.0341 0.6851
-3.2293 2.7421 1.7859
-2.8596 8.9783 6.0152
-6.4695 2.2789 8.8577
-9.5859 2.6586 -0.0591
-5.3711 3.3414 2.0438
-6.3298 5.4230 6.0262
-10.9360 4.1888 7.8157
-5.9781 5.9967 -0.7829
-1.0422 1.6488 3.7985
-8.3267 7.2741 5.5418
-3.3655 3.4932 9.0241
-4.1403 4.3968 0.5253
-8.4535 2.0932 1.7663
```

Entry 2:
## P2H24PtC12I2N6 (PBE)

Data for a geometry-optimized P2H24PtC12I2N6 structure.

**V**: 10.7 A^3/atom
**Space-group type**: No. 14
**Magnetic moment**: 0.00 μB per cell
**Calculated formation energy**: -0.1257 eV/atom

POSCAR file:
```
P2H24PtC12I2N6
1.0
-0.2182 -2.1179 12.1206
7.5674 0.8981 0.2932
5.2547 11.2715 2.0642
P H Pt C I N
4 48 2 24 4 12
Cartesian
9.2336 4.4750 9.3220
11.8261 9.7727 12.2888
3.3703 5.5767 5.1560
0.7778 0.2790 2.1892
1.8328 1.2060 8.4195
4.4184 6.4365 11.7705
10.7711 8.8457 6.0585
8.1855 3.6152 2.7075
7.7858 2.7710 8.3118
10.3544 7.8360 12.6102
4.8181 7.2807 6.1662
2.2495 2.2157 1.8678
3.0624 4.1867 10.9540
0.4629 -1.1791 8.3770
9.5415 5.8650 3.5240
12.1410 11.2309 6.1010
3.6010 2.6426 10.2311
6.2400 8.3914 10.6161
9.0029 7.4091 4.2469
6.3639 1.6603 3.8619
6.9283 5.2851 9.5067
4.2690 -0.6600 10.2450
5.6756 4.7666 4.9713
8.3348 10.7117 4.2330
8.0108 6.1733 10.6141
5.3841 0.5444 9.5429
4.5931 3.8784 3.8639
7.2198 9.5073 4.9351
1.1120 0.5741 11.8808
3.8228 7.0199 8.2770
11.4919 9.4776 2.5972
8.7811 3.0318 6.2010
2.3751 0.6336 10.6313
5.0412 6.6446 9.5160
10.2287 9.4181 3.8467
7.5627 3.4071 4.9620
7.9454 3.6218 13.2039
10.6795 10.2939 8.3050
4.6585 6.4299 1.2741
1.9243 -0.2422 6.1730
8.7182 5.1355 12.6740
6.1694 0.2621 7.2791
3.8856 4.9163 1.8039
6.4344 9.7897 7.1989
6.1637 3.1076 10.0498
8.7920 8.7518 11.0337
6.4401 6.9441 4.4282
3.8119 1.3000 3.4443
6.4522 2.4201 11.6750
9.1412 8.6542 9.2828
6.1517 7.6316 2.8030
3.4627 1.3975 5.1952
2.5183 4.5768 7.0924
0.0000 0.0000 0.0000
8.5748 2.7371 9.0780
11.1698 8.0590 11.9059
4.0291 7.3146 5.4000
1.4340 1.9927 2.5720
2.7222 3.2241 10.5432
5.3691 9.0497 10.4891
9.8817 6.8276 3.9347
7.2347 1.0020 3.9889
7.7489 5.1751 10.2295
5.1151 -0.5234 9.5569
4.8550 4.8766 4.2485
7.4888 10.5752 4.9211
1.5141 1.1749 11.0495
4.1919 7.3009 9.2762
11.0898 8.8768 3.4285
8.4119 2.7508 5.2018
8.3780 4.1464 12.3360
11.0784 10.4905 9.3138
4.2258 5.9054 2.1420
1.5255 -0.4388 5.1641
6.9156 2.9782 10.8439
9.5719 8.8947 10.2695
5.6883 7.0735 3.6341
3.0320 1.1571 4.2084
7.8757 6.8811 7.0889
5.3398 2.1339 0.9717
4.7282 3.1706 7.3891
7.2640 7.9178 13.5063
8.0324 2.1703 10.3168
10.6745 7.9491 10.5301
4.5715 7.8815 4.1611
1.9293 2.1026 3.9478
1.9686 2.4784 11.5601
4.6561 8.6974 9.2539
10.6353 7.5734 2.9179
7.9478 1.3543 5.2240
7.3197 4.3051 11.3316
9.9847 10.3058 10.2750
5.2842 5.7466 3.1464
2.6192 -0.2541 4.2030
```

Entry 3:
## Sr5Nb5O17 (PBE)

Data for a geometry-optimized Sr5Nb5O17 structure.

**V**: 14.3 A^3/atom
**Space-group type**: No. 58
**Calculated formation energy**: -3.2813 eV/atom

POSCAR file:
```
Sr5Nb5O17
1.0
-0.2394 -2.3034 3.3211
5.7115 0.2908 0.6134
-3.3861 27.2123 18.6299
Sr Nb O
10 10 34
Cartesian
-0.1785 21.4330 14.8527
2.5039 6.0701 4.3906
-0.6950 6.5687 6.9738
2.7810 18.6309 15.5905
-1.8127 12.4544 10.9755
2.8557 0.1454 0.3067
0.7511 15.0528 12.9625
1.3349 10.1469 9.6019
5.3931 2.7424 2.2908
-3.0678 24.7607 16.9524
1.1627 13.7515 9.6216
-0.1197 -1.1517 1.6605
0.3689 18.5522 12.8941
1.9565 8.9509 6.3492
-0.5231 3.6688 4.9749
2.6091 21.5308 17.5894
3.6837 16.3459 11.6027
-1.3584 11.1572 7.6405
2.4609 1.4457 3.6480
-0.3749 23.7540 18.9163
2.8900 12.8458 9.1179
-0.5646 14.6573 10.1253
0.7241 25.2822 20.0555
1.3619 -0.0826 2.5089
2.2701 15.1262 10.6549
0.0552 12.3769 8.5884
4.1583 0.3843 3.0343
-2.0723 24.8153 19.5301
1.0430 12.5998 11.2822
0.0000 0.0000 0.0000
1.2094 20.5807 16.8295
0.8766 4.6190 5.7348
3.5735 8.1543 5.9133
-1.2482 19.3487 13.3300
1.4361 23.0205 18.5381
0.6499 2.1792 4.0262
2.7463 10.5405 7.5086
-0.4209 16.9626 11.7346
-1.4856 22.5475 17.9994
3.5716 2.6522 4.5649
0.0367 10.0783 6.9927
2.2886 17.4248 12.2505
1.4632 19.7965 13.8360
0.8622 7.7066 5.4073
3.8001 5.0775 6.2635
-1.7141 20.1221 16.3008
0.4614 17.2023 14.4324
1.6246 7.9973 8.1319
-0.5639 4.6034 3.1522
2.8893 22.8997 16.0911
-2.0433 14.7254 12.5339
4.1293 10.4743 10.0304
2.5218 2.4111 1.8540
-0.1964 25.0920 17.3892
```

Entry 4:
## PrSmFe4 (PBE)

Data for a geometry-optimized PrSmFe4 structure.

**V**: 17.3 A^3/atom
**Space-group type**: No. 216
**Magnetic moment**: 7.78 μB per cell
**Calculated formation energy**: 0.0711 eV/atom

POSCAR file:
```
PrSmFe4
1.0
1.8502 2.4890 4.2694
0.8157 5.2118 -0.1308
-3.1451 3.2324 2.7396
Pr Sm Fe
1 1 4
Cartesian
-0.1198 2.7333 1.7195
0.0000 0.0000 0.0000
1.2723 5.2172 2.9293
-0.7072 4.2280 4.3638
-1.2241 5.5887 2.1648
-0.2995 6.8326 4.2984
```

Entry 5:
## Ce2Cu11Au (PBE)

Data for a geometry-optimized Ce2Cu11Au structure.

**V**: 15.1 A^3/atom
**Space-group type**: No. 26
**Magnetic moment**: 2.42 μB per cell
**Calculated formation energy**: -0.1641 eV/atom

POSCAR file:
```
Ce2Cu11Au
1.0
5.0437 0.0000 0.0000
0.0000 8.1438 0.0000
0.0000 0.0000 10.2722
Ce Cu Au
4 22 2
Cartesian
2.5219 1.9546 8.3500
2.5219 6.0265 1.9223
0.0000 6.1885 7.0160
0.0000 2.1166 3.2562
2.5219 5.5724 5.1252
2.5219 1.5005 5.1471
0.0000 2.5639 10.2547
0.0000 6.6358 0.0175
2.5219 7.6969 6.6158
2.5219 3.6250 3.6564
0.0000 0.4865 8.7110
0.0000 4.5584 1.5612
3.7808 0.5268 0.6451
1.2629 4.5987 9.6271
1.2244 7.6085 4.5199
3.8193 3.5365 5.7523
3.8193 7.6085 4.5199
1.2244 3.5365 5.7523
1.2629 0.5268 0.6451
3.7808 4.5987 9.6271
2.5219 4.8054 7.5237
2.5219 0.7335 2.7486
0.0000 3.2909 7.8480
0.0000 7.3628 2.4243
0.0000 5.2460 4.0032
0.0000 1.1741 6.2691
2.5219 2.9311 1.1386
2.5219 7.0030 9.1337
```

Entry 6:
## Li5CuF8 (PBE)

Data for a geometry-optimized Li5CuF8 structure.

**V**: 10.2 A^3/atom
**Space-group type**: No. 65
**Calculated formation energy**: -2.7495 eV/atom
**Energy above the lowest structure with this stoichiometry**: 0.23 eV/f.u.

POSCAR file:
```
Li5CuF8
1.0
2.9084 -4.1444 0.0000
2.9084 4.1444 0.0000
0.0000 0.0000 5.9105
Li Cu F
5 1 8
Cartesian
1.4542 2.0722 1.3501
1.4542 2.0722 4.5604
2.9084 0.0000 0.0000
1.4542 -2.0722 1.3501
1.4542 -2.0722 4.5604
2.9084 0.0000 2.9552
2.9084 1.9596 0.0000
2.9084 1.9216 2.9552
1.6004 0.0000 1.5505
1.6004 0.0000 4.3600
4.2163 0.0000 1.5505
4.2163 0.0000 4.3600
2.9084 -1.9216 2.9552
2.9084 -1.9596 0.0000
```

Entry 7:
## CeSe2 (PBE)

Data for a geometry-optimized CeSe2 structure.

**V**: 72.6 A^3/atom
**Space-group type**: No. 98
**Magnetic moment**: 0.00 μB per cell
**Calculated formation energy**: -1.3835 eV/atom

POSCAR file:
```
CeSe2
1.0
-7.0949 6.2273 2.0019
-5.7177 -7.3387 2.5643
12.5629 1.9106 15.3215
Ce Se
8 16
Cartesian
-3.1589 -1.0106 3.5746
-8.1706 0.2256 5.2322
-0.1681 1.1316 7.5105
-2.2531 6.1242 7.8555
3.0774 0.1534 16.3818
7.7528 2.2299 14.5869
-0.2495 1.3222 12.3086
0.7942 6.5862 11.5385
-1.9437 0.3064 5.6217
-7.7905 -0.7404 7.7469
1.6398 1.0276 14.2439
7.5951 1.0046 12.1630
-5.7606 -0.4136 4.1293
-1.1147 3.6490 7.9571
5.5110 1.2128 15.7585
0.1765 3.9331 11.6494
-2.0150 -3.4836 3.6950
2.2345 0.4917 6.3894
2.4540 -2.5002 16.4739
-2.4841 0.3074 13.4983
-10.0401 -0.8709 3.5782
-2.7725 -0.2405 0.9881
0.5175 -5.9274 10.2062
-0.0785 -0.0564 9.9628
```

Entry 8:
## Tm2GaOs (PBE)

Data for a geometry-optimized Tm2GaOs structure.

**V**: 20.3 A^3/atom
**Space-group type**: No. 225
**Calculated formation energy**: -0.4169 eV/atom

POSCAR file:
```
Tm2GaOs
1.0
0.0000 3.4370 3.4370
3.4370 0.0000 3.4370
3.4370 3.4370 0.0000
Tm Ga Os
2 1 1
Cartesian
1.7185 1.7185 1.7185
5.1555 5.1555 5.1555
3.4370 3.4370 3.4370
0.0000 0.0000 0.0000
```

Number 3 is which compound? Sr5Nb5O17

The highest V belongs to which entry? CeSe2

Which of these has the highest calculated formation energy? PrSmFe4

V of number 8 (Tm2GaOs)? 20.3 A^3/atom